CsP2H5O8 (GGA-PBE, optimized geometry); polymorph energy (0 for the lowest one) = 0.000 eV per atom; total energy after the MP2020 corrections = -6.322 eV per atom
1.0
11.2401 0.0000 0.0000
0.0000 7.8605 0.0000
-0.8290 0.0000 9.6042
Cs P H O
4 8 20 32
Cartesian
2.6181 1.3318 0.3726
2.2036 2.5984 5.1747
8.2075 5.2621 4.4295
7.7930 6.5287 9.2316
0.6834 5.3899 2.1416
0.2689 6.4008 6.9437
4.8139 5.4203 1.6677
4.3994 6.3704 6.4698
6.0118 1.4900 3.1344
5.5973 2.4402 7.9366
10.1422 1.4597 2.6605
9.7277 2.4706 7.4626
-0.0179 4.0432 7.9739
0.3966 7.7475 3.1718
0.7011 5.8328 4.8143
1.1156 5.9580 0.0122
2.8186 4.2825 1.8178
2.4041 7.5083 6.6199
4.1239 4.0913 7.8293
4.4225 5.6798 4.3458
4.0080 6.1109 9.1479
4.5384 7.6995 3.0272
5.8727 0.1610 6.5770
6.4031 1.7496 0.4563
5.9886 2.1807 5.2584
6.2872 3.7692 1.7749
8.0070 0.3522 2.9843
7.5925 3.5780 7.7864
9.2955 1.9025 9.5920
9.7100 2.0277 4.7899
10.0145 0.1130 6.4324
10.4291 3.8173 1.6303
0.3414 0.9225 3.0500
-0.0731 3.0077 7.8521
0.1604 5.4970 8.1756
0.5749 6.2937 3.3735
0.7433 5.4474 5.7715
1.1578 6.3433 0.9694
1.6177 4.1913 2.3205
1.2032 7.5994 7.1226
3.8553 4.2376 1.3949
3.4408 7.5532 6.1971
4.0838 5.5930 7.7423
4.4983 6.1978 2.9402
4.5556 0.8737 3.1064
4.1411 3.0566 7.9085
4.3737 5.3108 5.3109
4.7882 6.4799 0.5088
5.6229 1.3806 9.0954
6.0374 2.5497 4.2933
6.2700 4.8039 1.6957
5.8555 6.9868 6.4978
5.9128 1.6627 6.6641
6.3273 2.2675 1.8619
6.9703 0.3073 3.4072
6.5558 3.6229 8.2093
9.2079 0.2611 2.4816
8.7934 3.6692 7.2837
9.2533 1.5172 8.6348
9.6678 2.4131 3.8327
9.8362 1.5668 6.2307
10.2507 2.3634 1.4286
10.4842 4.8527 1.7521
10.0697 6.9380 6.5542


Ba2Ir3O9 (GGA-PBE, optimized geometry); total energy after the MP2020 corrections = -7.220 eV per atom
1.0
-4.7837 4.7837 4.7837
4.7837 -4.7837 4.7837
4.7837 4.7837 -4.7837
Ba Ir O
4 6 18
Cartesian
1.8169 1.8169 7.7504
6.6006 2.9667 -2.9667
-1.8169 1.8169 1.8169
2.9667 2.9667 2.9667
4.7837 0.0000 1.4938
4.7837 3.2898 0.0000
1.4938 4.7837 0.0000
3.2898 0.0000 4.7837
0.0000 1.4938 4.7837
0.0000 4.7837 3.2898
3.4334 0.0000 0.0000
6.1339 0.0000 0.0000
4.6342 1.9697 -1.4938
6.2774 -0.1495 2.8140
3.2899 0.1495 2.8140
1.9697 -1.4938 4.6342
0.0000 3.4334 0.0000
2.8140 3.2899 0.1495
0.0000 0.0000 3.4334
4.9331 1.9697 1.4938
0.1495 2.8140 3.2899
0.0000 6.1339 0.0000
2.8140 6.2774 -0.1495
0.0000 0.0000 6.1339
1.9697 1.4938 4.9331
-1.4938 4.6342 1.9697
1.4938 4.9331 1.9697
-0.1495 2.8140 6.2774


TcC4NO4 (GGA-PBE, optimized geometry); polymorph energy (0 for the lowest one) = 0.243 eV per atom; total energy after the MP2020 corrections = -7.378 eV per atom
1.0
9.9016 0.0000 0.0000
0.0000 10.8538 0.0000
0.0000 0.0000 6.5466
Tc C N O
4 16 4 16
Cartesian
2.2233 2.5198 0.3472
2.7275 7.9467 6.1994
7.1742 2.9071 6.1994
7.6783 8.3340 0.3472
0.4547 0.5170 2.0101
0.6011 0.6720 3.4463
0.6937 5.5226 4.4050
1.1140 6.1419 3.1542
3.8368 0.7150 3.3924
4.2571 0.0957 2.1416
4.3497 6.0989 3.1003
4.4962 5.9439 4.5365
5.4055 4.9099 4.5365
5.5519 4.7549 3.1003
5.6445 10.7581 2.1416
6.0648 10.1388 3.3924
8.7876 4.7119 3.1542
9.2079 5.3312 4.4050
9.3005 10.1818 3.4463
9.4470 10.3368 2.0101
0.0000 0.0000 4.4532
0.0000 5.4269 2.8081
4.9508 0.0000 3.7385
4.9508 5.4269 2.0934
1.0499 1.2137 1.0566
1.1023 7.5071 5.8307
1.9589 4.0946 0.9692
2.0675 2.5900 5.1955
2.8834 8.0169 1.3511
2.9919 9.5215 5.5773
3.8485 2.0802 0.7159
3.9010 6.6406 5.4900
6.0007 4.2132 5.4900
6.0531 8.7736 0.7159
6.9097 1.3323 5.5773
7.0183 2.8369 1.3511
7.8342 8.2638 5.1955
7.9427 6.7592 0.9692
8.7993 3.3467 5.8307
8.8518 9.6401 1.0566


Na6Sc3TaSi4S2O24 (GGA-PBE, optimized geometry); total energy after the MP2020 corrections = -7.586 eV per atom
1.0
9.1261 0.0000 0.0000
4.5522 7.9118 0.0000
0.1188 -0.0444 22.5418
Na Sc Ta Si S O
18 9 3 12 6 72
Cartesian
0.0000 0.0000 0.0000
1.7373 2.9062 5.4131
1.8988 2.9575 16.7120
0.4439 0.0516 7.3265
4.5964 3.1236 7.2662
3.2065 0.4975 3.6726
3.1322 0.1046 18.5916
6.3982 5.4978 9.1336
6.4199 5.2379 20.4158
7.9305 7.7182 10.9897
5.1716 2.6960 22.4479
9.0681 5.7291 22.2277
7.5245 2.7757 11.1180
6.2239 0.2583 1.7174
6.4539 0.0939 13.0876
7.8413 2.5724 3.4672
9.6902 5.4424 14.9465
12.4194 5.8307 11.2317
1.6566 2.7045 2.2016
6.1476 5.5359 12.6067
6.1487 5.4699 5.9525
6.1436 5.2869 17.2357
6.1412 5.4351 1.3658
6.1838 0.2352 20.8897
6.2404 0.0794 16.4192
6.2630 0.1089 9.6522
10.7870 2.8705 13.4627
6.2633 0.2106 5.1498
10.6644 2.8050 8.7206
10.7898 2.7830 20.0375
3.5279 5.4583 14.8793
4.8035 7.7627 3.6263
3.0726 0.4331 22.4085
4.8369 3.1116 3.6563
4.9221 2.4907 18.6875
3.5539 0.1624 7.4503
7.5216 2.5315 7.4582
9.4601 5.7192 18.6643
9.4452 5.1310 11.1826
8.1787 2.7704 22.4720
12.0819 5.7514 7.4220
9.4749 0.5122 11.1617
4.3116 2.8101 11.1217
7.5906 7.7796 14.9154
7.5725 3.1033 14.8738
8.8946 5.4953 3.6224
8.9713 0.1747 18.6932
12.1657 5.0458 22.3883
0.8393 1.3988 3.5609
2.5415 4.1272 14.8536
2.7463 4.1970 21.1798
1.0175 1.2627 9.7891
5.0818 6.9123 2.2522
4.4056 5.5831 13.4737
5.3570 6.9695 18.5518
4.5587 5.5731 7.2476
4.5686 5.3295 16.1217
5.5404 7.1087 4.9113
4.5281 5.1179 22.4563
2.3991 1.2792 21.1269
3.2253 2.8803 3.5677
5.6241 6.9406 11.1837
3.2354 2.5746 18.8675
2.4418 1.2106 14.7856
3.4698 2.9961 9.8886
2.6772 1.6039 7.5411
3.4589 2.6387 12.3076
2.7266 1.4097 1.1833
6.8800 6.8856 22.4551
5.1790 4.0241 11.2036
7.0668 7.1236 16.1315
5.2278 3.9516 4.9769
7.0627 6.8609 7.2778
5.5105 3.9912 18.5829
7.3144 6.9300 13.6982
5.5651 3.7294 2.3094
5.1768 1.6099 11.0446
5.1452 1.4421 17.4655
4.5556 0.4072 6.1210
5.4946 1.8555 20.0842
4.4332 0.0281 8.7924
4.7048 0.2334 22.3389
7.8374 5.6603 18.5238
9.0870 7.8677 14.9617
6.8993 3.9846 7.2455
5.5362 1.5563 3.8038
7.2412 4.1180 22.4598
7.8074 5.1613 11.2130
8.0746 5.7176 2.3856
7.0482 3.7376 13.6242
7.3208 3.9882 16.0416
8.0296 5.2791 4.7918
6.9142 1.8488 8.7787
9.7033 6.7570 3.7622
6.9681 1.7671 15.0195
9.7939 6.6120 19.9983
10.0796 6.6303 11.0659
7.2583 1.5025 6.1434
7.3174 1.3807 22.3250
10.1472 6.3540 17.3253
9.0681 3.0017 14.8075
9.7770 4.3210 3.4908
9.2618 2.9581 21.2021
8.9754 2.6691 1.2640
9.8666 4.1016 9.8944
10.1493 4.4661 12.4862
7.8478 0.3874 11.0852
11.3788 6.5611 6.1447
10.1467 4.2019 18.8924
11.6696 6.7895 14.9691
7.7176 0.0225 3.7966
9.1948 2.5373 7.4923
8.1200 0.3879 17.5205
11.6145 6.4129 22.2406
11.9013 6.6470 8.7517
8.2047 0.0043 19.9428
11.4479 4.4872 1.0461
9.8494 1.4319 18.7956
9.8497 1.4846 12.3890
11.4293 4.2381 7.5423


Ho6Co2Sn (GGA-PBE, optimized geometry); DFT total energy = -97.58 eV/cell
1.0
-4.6709 4.7810 4.9362
4.6709 -4.7810 4.9362
4.6709 4.7810 -4.9362
Ho Co Sn
12 4 2
Cartesian
4.6709 2.7665 -2.6243
2.6642 1.7735 0.0000
6.6777 1.7735 0.0000
1.7764 4.7810 -1.7639
2.8946 0.0000 3.1723
0.0000 2.0145 2.3118
4.6709 2.7665 2.6243
1.7764 4.7810 1.7639
2.8946 0.0000 6.7000
-2.0067 3.0075 4.9362
2.0067 3.0075 4.9362
0.0000 2.0145 7.5605
4.6709 0.0000 1.1189
0.0000 3.4209 0.0000
0.0000 6.1411 0.0000
0.0000 4.7810 3.8173
0.0000 0.0000 0.0000
0.0000 0.0000 4.9362


NdPb7F17 (GGA-PBE, optimized geometry); polymorph energy (0 for the lowest one) = 0.144 eV per atom; total energy after the MP2020 corrections = -5.320 eV per atom
1.0
4.1783 0.0000 0.0000
2.0876 3.6577 0.0000
0.0681 2.3003 27.9323
Nd Pb F
1 7 17
Cartesian
0.0000 0.0000 0.0000
1.5428 2.6944 10.3926
3.2175 5.3158 20.8463
2.6290 1.9712 3.3440
4.2336 4.7544 13.8802
3.7504 3.7946 24.3942
2.9840 0.6685 6.8762
4.7789 3.2042 17.3715
0.4276 0.8381 2.4247
1.0482 2.0873 7.7693
2.0077 3.3102 13.0112
2.8275 4.6635 18.2873
1.5342 2.3523 23.5653
2.1263 1.3250 0.0327
2.8737 2.8514 5.9703
3.7877 4.1431 11.3029
2.5627 1.7564 16.5158
3.3479 3.1065 21.7185
4.4655 3.1263 1.3016
4.1055 4.4484 26.7968
4.8193 3.7165 4.3427
3.5018 1.2591 9.5405
4.3724 2.5486 14.7729
5.1760 3.8609 19.9657
5.9932 5.3106 25.4826


Q: Which volume values were calculated for the entries above? A: 849 438 704 1628 441 427, in Å³ per cell.